This record from Materials Project describes K3CuO2 after structural relaxation. The functional is PBE-GGA.

Values from the calculation:
crystal system	tetragonal
formation energy	-7.8	eV/f.u.

Lattice parameters (Å, degrees): 8.674 8.674 13.497 90.00 90.00 90.00
Space group P4_12_12 (No. 92)
One atom of each set of equivalent atoms:
K: 0.024 0.024 0.000 (multiplicity 4)
K: 0.035 0.436 0.001 (multiplicity 8)
K: 0.056 0.944 0.250 (multiplicity 4)
K: 0.154 0.735 0.857 (multiplicity 8)
Cu: 0.236 0.236 0.166 (multiplicity 8)
O: 0.026 0.237 0.167 (multiplicity 8)
O: 0.055 0.733 0.080 (multiplicity 8)

---

This record from Materials Project describes Sb2AsS2 after structural relaxation. The functional is PBE-GGA.

Values from the calculation:
crystal system	monoclinic
formation energy	-1.8	eV/f.u.

Lattice parameters (Å, degrees): 11.020 4.006 12.577 90.00 114.11 90.00
Space group C2/m (No. 12)
One atom of each set of equivalent atoms:
Sb: 0.091 0.000 0.402 (multiplicity 4)
Sb: 0.217 0.500 0.172 (multiplicity 4)
As: 0.117 0.000 0.012 (multiplicity 4)
S: 0.030 0.500 0.239 (multiplicity 4)
S: 0.177 0.500 0.577 (multiplicity 4)

---

This record from Materials Project describes Na6Zr4Al4Si5S7O48 after structural relaxation. The functional is PBE-GGA.

Values from the calculation:
crystal system	triclinic
formation energy	-199.8	eV/f.u.

Lattice parameters (Å, degrees): 8.830 15.213 22.584 89.50 89.89 89.79
Space group P1 (No. 1)
One atom of each set of equivalent atoms:
Na: 0.000 0.000 0.000 (multiplicity 1)
Na: 0.003 0.338 0.320 (multiplicity 1)
Na: 0.228 0.499 0.483 (multiplicity 1)
Na: 0.239 0.837 0.826 (multiplicity 1)
Na: 0.336 0.018 0.234 (multiplicity 1)
Na: 0.349 0.340 0.563 (multiplicity 1)
Na: 0.353 0.662 0.899 (multiplicity 1)
Na: 0.365 0.662 0.392 (multiplicity 1)
Na: 0.383 0.345 0.068 (multiplicity 1)
Na: 0.395 0.028 0.739 (multiplicity 1)
Na: 0.515 0.830 0.315 (multiplicity 1)
Na: 0.705 0.331 0.819 (multiplicity 1)
Na: 0.848 0.846 0.563 (multiplicity 1)
Na: 0.852 0.526 0.244 (multiplicity 1)
Na: 0.856 0.171 0.896 (multiplicity 1)
Na: 0.871 0.835 0.069 (multiplicity 1)
Na: 0.875 0.166 0.397 (multiplicity 1)
Na: 0.890 0.516 0.733 (multiplicity 1)
Zr: 0.345 0.337 0.915 (multiplicity 1)
Zr: 0.346 0.337 0.716 (multiplicity 1)
Zr: 0.352 0.998 0.092 (multiplicity 1)
Zr: 0.361 0.667 0.038 (multiplicity 1)
Zr: 0.365 0.002 0.588 (multiplicity 1)
Zr: 0.368 0.339 0.211 (multiplicity 1)
Zr: 0.854 0.832 0.706 (multiplicity 1)
Zr: 0.863 0.165 0.538 (multiplicity 1)
Zr: 0.864 0.502 0.090 (multiplicity 1)
Zr: 0.875 0.499 0.591 (multiplicity 1)
Zr: 0.879 0.838 0.216 (multiplicity 1)
Zr: 0.883 0.837 0.415 (multiplicity 1)
Al: 0.343 0.001 0.380 (multiplicity 1)
Al: 0.351 0.338 0.416 (multiplicity 1)
Al: 0.370 0.008 0.885 (multiplicity 1)
Al: 0.376 0.657 0.266 (multiplicity 1)
Al: 0.378 0.655 0.741 (multiplicity 1)
Al: 0.378 0.661 0.550 (multiplicity 1)
Al: 0.843 0.158 0.243 (multiplicity 1)
Al: 0.844 0.167 0.759 (multiplicity 1)
Al: 0.851 0.171 0.056 (multiplicity 1)
Al: 0.870 0.837 0.918 (multiplicity 1)
Al: 0.879 0.504 0.377 (multiplicity 1)
Al: 0.883 0.499 0.881 (multiplicity 1)
Si: 0.013 0.360 0.475 (multiplicity 1)
Si: 0.044 0.337 0.814 (multiplicity 1)
Si: 0.074 0.997 0.483 (multiplicity 1)
Si: 0.153 0.498 0.982 (multiplicity 1)
Si: 0.182 0.839 0.313 (multiplicity 1)
Si: 0.215 0.481 0.320 (multiplicity 1)
Si: 0.215 0.862 0.973 (multiplicity 1)
Si: 0.230 0.525 0.647 (multiplicity 1)
Si: 0.505 0.182 0.820 (multiplicity 1)
Si: 0.506 0.534 0.154 (multiplicity 1)
Si: 0.574 0.170 0.147 (multiplicity 1)
Si: 0.645 0.666 0.647 (multiplicity 1)
Si: 0.719 0.034 0.654 (multiplicity 1)
Si: 0.721 0.683 0.321 (multiplicity 1)
Si: 0.993 0.027 0.148 (multiplicity 1)
S: 0.007 0.981 0.818 (multiplicity 1)
S: 0.008 0.689 0.820 (multiplicity 1)
S: 0.019 0.648 0.484 (multiplicity 1)
S: 0.080 0.670 0.151 (multiplicity 1)
S: 0.143 0.168 0.653 (multiplicity 1)
S: 0.214 0.147 0.983 (multiplicity 1)
S: 0.219 0.186 0.319 (multiplicity 1)
S: 0.232 0.805 0.654 (multiplicity 1)
S: 0.494 0.149 0.474 (multiplicity 1)
S: 0.503 0.849 0.482 (multiplicity 1)
S: 0.511 0.495 0.818 (multiplicity 1)
S: 0.512 0.809 0.152 (multiplicity 1)
S: 0.572 0.502 0.481 (multiplicity 1)
S: 0.578 0.834 0.822 (multiplicity 1)
S: 0.654 0.331 0.322 (multiplicity 1)
S: 0.657 0.000 0.978 (multiplicity 1)
S: 0.715 0.995 0.318 (multiplicity 1)
S: 0.718 0.308 0.654 (multiplicity 1)
S: 0.725 0.351 0.982 (multiplicity 1)
S: 0.732 0.648 0.974 (multiplicity 1)
S: 0.999 0.305 0.153 (multiplicity 1)
O: 0.028 0.852 0.967 (multiplicity 1)
O: 0.029 0.488 0.323 (multiplicity 1)
O: 0.045 0.510 0.647 (multiplicity 1)
O: 0.046 0.156 0.984 (multiplicity 1)
O: 0.046 0.501 0.924 (multiplicity 1)
O: 0.050 0.166 0.706 (multiplicity 1)
O: 0.050 0.182 0.317 (multiplicity 1)
O: 0.052 0.495 0.043 (multiplicity 1)
O: 0.057 0.174 0.597 (multiplicity 1)
O: 0.065 0.817 0.658 (multiplicity 1)
O: 0.067 0.865 0.258 (multiplicity 1)
O: 0.070 0.824 0.370 (multiplicity 1)
O: 0.157 0.362 0.758 (multiplicity 1)
O: 0.159 0.321 0.871 (multiplicity 1)
O: 0.165 0.314 0.154 (multiplicity 1)
O: 0.165 0.676 0.095 (multiplicity 1)
O: 0.171 0.667 0.204 (multiplicity 1)
O: 0.173 0.995 0.544 (multiplicity 1)
O: 0.174 0.989 0.822 (multiplicity 1)
O: 0.176 0.684 0.818 (multiplicity 1)
O: 0.179 0.011 0.146 (multiplicity 1)
O: 0.185 0.000 0.426 (multiplicity 1)
O: 0.187 0.658 0.488 (multiplicity 1)
O: 0.198 0.345 0.472 (multiplicity 1)
O: 0.236 0.925 0.031 (multiplicity 1)
O: 0.238 0.409 0.266 (multiplicity 1)
O: 0.243 0.087 0.652 (multiplicity 1)
O: 0.246 0.247 0.652 (multiplicity 1)
O: 0.252 0.091 0.931 (multiplicity 1)
O: 0.256 0.246 0.369 (multiplicity 1)
O: 0.259 0.587 0.982 (multiplicity 1)
O: 0.260 0.581 0.707 (multiplicity 1)
O: 0.263 0.753 0.601 (multiplicity 1)
O: 0.268 0.413 0.983 (multiplicity 1)
O: 0.273 0.109 0.038 (multiplicity 1)
O: 0.281 0.219 0.263 (multiplicity 1)
O: 0.282 0.752 0.302 (multiplicity 1)
O: 0.283 0.572 0.585 (multiplicity 1)
O: 0.284 0.097 0.329 (multiplicity 1)
O: 0.285 0.577 0.312 (multiplicity 1)
O: 0.286 0.235 0.978 (multiplicity 1)
O: 0.286 0.764 0.711 (multiplicity 1)
O: 0.287 0.911 0.915 (multiplicity 1)
O: 0.292 0.434 0.378 (multiplicity 1)
O: 0.298 0.767 0.981 (multiplicity 1)
O: 0.298 0.922 0.323 (multiplicity 1)
O: 0.304 0.893 0.650 (multiplicity 1)
O: 0.313 0.428 0.650 (multiplicity 1)
O: 0.420 0.764 0.489 (multiplicity 1)
O: 0.422 0.087 0.831 (multiplicity 1)
O: 0.426 0.237 0.468 (multiplicity 1)
O: 0.430 0.232 0.762 (multiplicity 1)
O: 0.431 0.435 0.156 (multiplicity 1)
O: 0.433 0.581 0.808 (multiplicity 1)
O: 0.437 0.110 0.531 (multiplicity 1)
O: 0.439 0.455 0.871 (multiplicity 1)
O: 0.443 0.899 0.148 (multiplicity 1)
O: 0.452 0.251 0.152 (multiplicity 1)
O: 0.453 0.893 0.427 (multiplicity 1)
O: 0.454 0.576 0.090 (multiplicity 1)
O: 0.456 0.770 0.207 (multiplicity 1)
O: 0.459 0.592 0.210 (multiplicity 1)
O: 0.460 0.090 0.424 (multiplicity 1)
O: 0.463 0.580 0.486 (multiplicity 1)
O: 0.469 0.761 0.098 (multiplicity 1)
O: 0.469 0.906 0.535 (multiplicity 1)
O: 0.474 0.758 0.821 (multiplicity 1)
O: 0.475 0.421 0.477 (multiplicity 1)
O: 0.479 0.078 0.141 (multiplicity 1)
O: 0.486 0.252 0.874 (multiplicity 1)
O: 0.486 0.916 0.825 (multiplicity 1)
O: 0.493 0.435 0.766 (multiplicity 1)
O: 0.534 0.021 0.650 (multiplicity 1)
O: 0.540 0.678 0.312 (multiplicity 1)
O: 0.545 0.682 0.588 (multiplicity 1)
O: 0.551 0.007 0.328 (multiplicity 1)
O: 0.551 0.317 0.655 (multiplicity 1)
O: 0.553 0.316 0.374 (multiplicity 1)
O: 0.554 0.667 0.710 (multiplicity 1)
O: 0.557 0.014 0.926 (multiplicity 1)
O: 0.560 0.338 0.980 (multiplicity 1)
O: 0.563 0.337 0.266 (multiplicity 1)
O: 0.564 0.659 0.977 (multiplicity 1)
O: 0.569 0.987 0.033 (multiplicity 1)
O: 0.661 0.494 0.536 (multiplicity 1)
O: 0.662 0.158 0.477 (multiplicity 1)
O: 0.667 0.516 0.429 (multiplicity 1)
O: 0.668 0.836 0.482 (multiplicity 1)
O: 0.668 0.840 0.766 (multiplicity 1)
O: 0.670 0.165 0.209 (multiplicity 1)
O: 0.674 0.507 0.827 (multiplicity 1)
O: 0.675 0.185 0.088 (multiplicity 1)
O: 0.680 0.817 0.152 (multiplicity 1)
O: 0.683 0.825 0.873 (multiplicity 1)
O: 0.688 0.173 0.812 (multiplicity 1)
O: 0.692 0.522 0.148 (multiplicity 1)
O: 0.732 0.935 0.267 (multiplicity 1)
O: 0.742 0.413 0.326 (multiplicity 1)
O: 0.744 0.754 0.375 (multiplicity 1)
O: 0.748 0.577 0.644 (multiplicity 1)
O: 0.754 0.919 0.970 (multiplicity 1)
O: 0.757 0.408 0.034 (multiplicity 1)
O: 0.760 0.259 0.601 (multiplicity 1)
O: 0.761 0.077 0.981 (multiplicity 1)
O: 0.763 0.255 0.317 (multiplicity 1)
O: 0.765 0.750 0.651 (multiplicity 1)
O: 0.767 0.590 0.924 (multiplicity 1)
O: 0.768 0.088 0.711 (multiplicity 1)
O: 0.772 0.074 0.590 (multiplicity 1)
O: 0.774 0.268 0.710 (multiplicity 1)
O: 0.776 0.395 0.926 (multiplicity 1)
O: 0.787 0.955 0.372 (multiplicity 1)
O: 0.789 0.397 0.651 (multiplicity 1)
O: 0.789 0.611 0.031 (multiplicity 1)
O: 0.791 0.081 0.309 (multiplicity 1)
O: 0.796 0.588 0.333 (multiplicity 1)
O: 0.796 0.934 0.658 (multiplicity 1)
O: 0.800 0.734 0.263 (multiplicity 1)
O: 0.801 0.737 0.967 (multiplicity 1)
O: 0.809 0.266 0.988 (multiplicity 1)
O: 0.912 0.930 0.150 (multiplicity 1)
O: 0.926 0.266 0.484 (multiplicity 1)
O: 0.926 0.394 0.149 (multiplicity 1)
O: 0.928 0.420 0.824 (multiplicity 1)
O: 0.937 0.069 0.812 (multiplicity 1)
O: 0.938 0.410 0.419 (multiplicity 1)
O: 0.939 0.939 0.872 (multiplicity 1)
O: 0.940 0.600 0.828 (multiplicity 1)
O: 0.942 0.075 0.085 (multiplicity 1)
O: 0.943 0.264 0.209 (multiplicity 1)
O: 0.946 0.248 0.805 (multiplicity 1)
O: 0.947 0.736 0.479 (multiplicity 1)
O: 0.949 0.725 0.764 (multiplicity 1)
O: 0.957 0.610 0.540 (multiplicity 1)
O: 0.960 0.913 0.484 (multiplicity 1)
O: 0.961 0.083 0.207 (multiplicity 1)
O: 0.962 0.255 0.099 (multiplicity 1)
O: 0.968 0.086 0.482 (multiplicity 1)
O: 0.970 0.749 0.870 (multiplicity 1)
O: 0.976 0.749 0.150 (multiplicity 1)
O: 0.979 0.922 0.767 (multiplicity 1)
O: 0.981 0.589 0.150 (multiplicity 1)
O: 0.988 0.592 0.433 (multiplicity 1)
O: 0.989 0.421 0.534 (multiplicity 1)

---

This record from Materials Project describes CaTiF4 after structural relaxation. The functional is PBE-GGA.

Values from the calculation:
crystal system	tetragonal
formation energy	-21.3	eV/f.u.

Lattice parameters (Å, degrees): 5.497 5.497 11.001 90.00 90.00 90.00
Space group I4/mcm (No. 140)
One atom of each set of equivalent atoms:
Ca: 0.000 0.000 0.250 (multiplicity 4)
Ti: 0.000 0.500 0.000 (multiplicity 4)
F: 0.186 0.314 0.132 (multiplicity 16)